# 1
An optimized crystal structure of Sr15Pd5O24. Source: the Materials Project database, functional PBE.

Cell and atoms, written as POSCAR:
```
Sr15Pd5O24
1.0
4.899 4.886 0.000
-4.899 4.886 0.000
0.000 0.063 13.825
O Sr Pd
24 15 5
direct
0.572 0.286 0.904
0.716 0.426 0.596
0.443 0.075 0.732
0.078 0.452 0.483
0.283 0.579 0.646
0.925 0.557 0.268
0.786 0.942 0.838
0.548 0.922 0.517
0.214 0.059 0.911
0.216 0.048 0.415
0.558 0.926 0.018
0.441 0.071 0.233
0.941 0.786 0.089
0.929 0.559 0.767
0.784 0.941 0.339
0.574 0.284 0.404
0.059 0.216 0.661
0.058 0.214 0.162
0.952 0.784 0.585
0.421 0.717 0.354
0.074 0.442 0.982
0.287 0.574 0.156
0.714 0.428 0.096
0.426 0.713 0.844
0.620 0.751 0.184
0.381 0.251 0.564
0.751 0.620 0.933
0.250 0.392 0.320
0.122 0.882 0.745
0.249 0.380 0.816
0.380 0.249 0.067
0.891 0.109 0.500
0.882 0.118 0.000
0.118 0.878 0.255
0.749 0.619 0.436
0.608 0.750 0.680
0.249 0.751 0.000
0.749 0.249 0.250
0.751 0.251 0.750
0.499 0.999 0.376
0.001 0.501 0.624
0.500 0.000 0.875
0.251 0.749 0.500
0.000 0.500 0.125
```

## Properties
V: 662 Å³/f.u.
Formation energy: -2.458 eV per atom
Symmetry: C2

---

# 2
An optimized crystal structure of PrCr2Si2C. Source: the Materials Project database, functional PBE.

Cell and atoms, written as POSCAR:
```
PrCr2Si2C
1.0
4.016 0.000 0.000
0.000 4.016 0.000
0.000 0.000 5.406
Pr Cr C Si
1 2 1 2
direct
0.000 0.000 0.000
0.000 0.500 0.500
0.500 0.000 0.500
0.000 0.000 0.500
0.500 0.500 0.765
0.500 0.500 0.235
```

## Properties
V: 87 Å³/f.u.
Formation energy: -0.415 eV per atom
Symmetry: P4/mmm

---

# 3
An optimized crystal structure of CsH24RhS2O20. Source: the Materials Project database, functional PBE.

Cell and atoms, written as POSCAR:
```
CsH24RhS2O20
1.0
12.439 0.000 0.000
0.000 12.439 0.000
0.000 0.000 12.439
H O Rh Cs S
96 80 4 4 8
direct
0.925 0.304 0.527
0.023 0.056 0.208
0.214 0.269 0.004
0.444 0.708 0.023
0.708 0.023 0.444
0.792 0.121 0.324
0.769 0.496 0.786
0.977 0.944 0.792
0.286 0.731 0.504
0.731 0.504 0.286
0.676 0.208 0.879
0.269 0.004 0.214
0.214 0.231 0.504
0.879 0.676 0.208
0.504 0.214 0.231
0.523 0.444 0.792
0.075 0.696 0.473
0.292 0.977 0.556
0.824 0.792 0.379
0.804 0.973 0.075
0.708 0.477 0.944
0.527 0.925 0.304
0.292 0.379 0.676
0.523 0.056 0.292
0.731 0.996 0.786
0.944 0.792 0.977
0.621 0.176 0.208
0.504 0.286 0.731
0.792 0.379 0.824
0.379 0.824 0.792
0.208 0.621 0.176
0.977 0.556 0.292
0.496 0.786 0.769
0.196 0.473 0.425
0.075 0.804 0.973
0.121 0.324 0.792
0.804 0.527 0.575
0.496 0.714 0.269
0.477 0.556 0.208
0.176 0.208 0.621
0.286 0.769 0.004
0.324 0.792 0.121
0.444 0.792 0.523
0.208 0.023 0.056
0.231 0.504 0.214
0.925 0.196 0.027
0.231 0.996 0.714
0.556 0.208 0.477
0.996 0.714 0.231
0.786 0.731 0.996
0.708 0.879 0.824
0.304 0.527 0.925
0.176 0.292 0.121
0.575 0.696 0.027
0.004 0.214 0.269
0.792 0.523 0.444
0.196 0.027 0.925
0.973 0.075 0.804
0.004 0.286 0.769
0.527 0.575 0.804
0.208 0.477 0.556
0.769 0.004 0.286
0.477 0.944 0.708
0.027 0.925 0.196
0.056 0.292 0.523
0.575 0.804 0.527
0.473 0.075 0.696
0.121 0.176 0.292
0.714 0.269 0.496
0.696 0.473 0.075
0.676 0.292 0.379
0.304 0.973 0.425
0.425 0.304 0.973
0.027 0.575 0.696
0.879 0.824 0.708
0.996 0.786 0.731
0.708 0.621 0.324
0.944 0.708 0.477
0.208 0.879 0.676
0.973 0.425 0.304
0.292 0.121 0.176
0.473 0.425 0.196
0.786 0.769 0.496
0.269 0.496 0.714
0.621 0.324 0.708
0.696 0.027 0.575
0.425 0.196 0.473
0.292 0.523 0.056
0.379 0.676 0.292
0.056 0.208 0.023
0.714 0.231 0.996
0.556 0.292 0.977
0.023 0.444 0.708
0.324 0.708 0.621
0.792 0.977 0.944
0.824 0.708 0.879
0.995 0.508 0.665
0.005 0.008 0.835
0.226 0.930 0.323
0.711 0.547 0.351
0.774 0.070 0.677
0.751 0.751 0.751
0.789 0.047 0.351
0.508 0.665 0.995
0.149 0.211 0.547
0.323 0.274 0.430
0.749 0.251 0.751
0.726 0.570 0.677
0.547 0.149 0.211
0.930 0.323 0.226
0.249 0.251 0.749
0.505 0.008 0.665
0.851 0.789 0.453
0.177 0.726 0.930
0.508 0.835 0.495
0.070 0.823 0.274
0.274 0.070 0.823
0.774 0.430 0.177
0.351 0.711 0.547
0.289 0.453 0.649
0.453 0.851 0.789
0.492 0.165 0.505
0.335 0.005 0.492
0.992 0.165 0.995
0.430 0.177 0.774
0.547 0.351 0.711
0.149 0.289 0.047
0.005 0.492 0.335
0.070 0.677 0.774
0.289 0.047 0.149
0.323 0.226 0.930
0.008 0.665 0.505
0.677 0.774 0.070
0.453 0.649 0.289
0.751 0.749 0.251
0.249 0.249 0.249
0.711 0.953 0.851
0.177 0.774 0.430
0.649 0.211 0.953
0.823 0.226 0.570
0.251 0.751 0.749
0.495 0.508 0.835
0.008 0.835 0.005
0.505 0.492 0.165
0.274 0.430 0.323
0.726 0.930 0.177
0.165 0.995 0.992
0.749 0.249 0.251
0.211 0.547 0.149
0.677 0.726 0.570
0.251 0.749 0.249
0.665 0.505 0.008
0.992 0.335 0.495
0.789 0.453 0.851
0.211 0.953 0.649
0.492 0.335 0.005
0.165 0.505 0.492
0.835 0.495 0.508
0.430 0.323 0.274
0.649 0.289 0.453
0.995 0.992 0.165
0.570 0.677 0.726
0.665 0.995 0.508
0.047 0.149 0.289
0.953 0.851 0.711
0.226 0.570 0.823
0.570 0.823 0.226
0.047 0.351 0.789
0.953 0.649 0.211
0.835 0.005 0.008
0.495 0.992 0.335
0.335 0.495 0.992
0.930 0.177 0.726
0.351 0.789 0.047
0.823 0.274 0.070
0.851 0.711 0.953
0.500 0.000 0.500
0.000 0.000 0.000
0.500 0.500 0.000
0.000 0.500 0.500
0.000 0.500 0.000
0.500 0.500 0.500
0.000 0.000 0.500
0.500 0.000 0.000
0.818 0.318 0.182
0.818 0.182 0.682
0.682 0.818 0.182
0.318 0.318 0.318
0.318 0.182 0.818
0.182 0.818 0.318
0.682 0.682 0.682
0.182 0.682 0.818
```

## Properties
V: 481 Å³/f.u.
Formation energy: -1.415 eV per atom
Symmetry: Pa-3

---

# 4
An optimized crystal structure of CaP2H4O8. Source: the Materials Project database, functional PBE.

Cell and atoms, written as POSCAR:
```
CaP2H4O8
1.0
5.635 0.000 0.000
-0.811 7.846 0.000
-2.414 -2.782 7.296
Ca H O P
2 8 16 4
direct
0.200 0.321 0.450
0.800 0.679 0.550
0.876 0.851 0.240
0.174 0.015 0.054
0.596 0.338 0.937
0.000 0.500 0.000
0.404 0.662 0.063
0.500 0.000 0.000
0.826 0.985 0.946
0.124 0.149 0.760
0.048 0.589 0.368
0.810 0.852 0.888
0.190 0.148 0.112
0.642 0.125 0.139
0.358 0.875 0.861
0.952 0.411 0.632
0.168 0.632 0.103
0.483 0.581 0.683
0.055 0.894 0.323
0.517 0.419 0.317
0.945 0.106 0.677
0.528 0.200 0.573
0.472 0.800 0.427
0.574 0.688 0.034
0.426 0.312 0.966
0.832 0.368 0.897
0.803 0.277 0.688
0.535 0.737 0.858
0.197 0.723 0.312
0.465 0.263 0.142
```

## Properties
Energy above the most stable polymorph in this dataset: 74 meV/atom
V: 161 Å³/f.u.
Formation energy: -2.242 eV per atom
Symmetry: P-1

---

# 5
An optimized crystal structure of K2AsPCO7. Source: the Materials Project database, functional PBE.

Cell and atoms, written as POSCAR:
```
K2AsPCO7
1.0
6.847 0.000 0.000
0.000 6.043 0.000
0.000 1.394 9.786
As C P K O
2 2 2 4 14
direct
0.750 0.824 0.633
0.250 0.176 0.367
0.750 0.709 0.899
0.250 0.291 0.101
0.750 0.249 0.412
0.250 0.751 0.588
0.987 0.744 0.233
0.013 0.256 0.767
0.513 0.744 0.233
0.487 0.256 0.767
0.750 0.499 0.413
0.750 0.135 0.572
0.250 0.865 0.428
0.934 0.158 0.344
0.066 0.842 0.656
0.434 0.842 0.656
0.750 0.534 0.840
0.750 0.907 0.809
0.250 0.501 0.587
0.250 0.093 0.191
0.566 0.158 0.344
0.250 0.275 0.977
0.750 0.725 0.023
0.250 0.466 0.160
```

## Properties
V: 202 Å³/f.u.
Formation energy: -2.198 eV per atom
Symmetry: P2_1/m

---

# 6
An optimized crystal structure of Sr2GeO4. Source: the Materials Project database, functional PBE.

Cell and atoms, written as POSCAR:
```
Sr2GeO4
1.0
-0.368 -2.887 -5.192
2.666 -8.548 4.563
-13.929 -2.944 2.623
Ge O Sr
8 32 16
direct
0.221 0.584 0.736
0.728 0.415 0.021
0.772 0.415 0.521
0.279 0.584 0.236
0.272 0.915 0.979
0.228 0.915 0.479
0.721 0.084 0.764
0.779 0.084 0.264
0.954 0.304 0.005
0.469 0.638 0.796
0.788 0.564 0.957
0.319 0.550 0.623
0.990 0.209 0.253
0.857 0.936 0.201
0.671 0.456 0.137
0.712 0.564 0.457
0.143 0.436 0.799
0.288 0.064 0.543
0.969 0.138 0.704
0.643 0.936 0.701
0.023 0.348 0.471
0.523 0.848 0.029
0.010 0.709 0.747
0.829 0.456 0.637
0.357 0.436 0.299
0.546 0.304 0.505
0.510 0.209 0.753
0.031 0.638 0.296
0.046 0.804 0.995
0.212 0.064 0.043
0.819 0.050 0.877
0.477 0.348 0.971
0.329 0.956 0.863
0.531 0.138 0.204
0.181 0.550 0.123
0.171 0.956 0.363
0.490 0.709 0.247
0.977 0.848 0.529
0.454 0.804 0.495
0.681 0.050 0.377
0.228 0.297 0.629
0.728 0.797 0.871
0.272 0.297 0.129
0.722 0.069 0.543
0.789 0.428 0.296
0.778 0.069 0.043
0.206 0.202 0.879
0.211 0.928 0.704
0.278 0.569 0.457
0.222 0.569 0.957
0.289 0.928 0.204
0.706 0.702 0.621
0.772 0.797 0.371
0.711 0.428 0.796
0.794 0.702 0.121
0.294 0.202 0.379
```

## Properties
V: 108 Å³/f.u.
Formation energy: -2.912 eV per atom
Symmetry: Pna2_1

---

# 7
An optimized crystal structure of Na8Ti5O14. Source: the Materials Project database, functional PBE.

Cell and atoms, written as POSCAR:
```
Na8Ti5O14
1.0
8.449 0.000 0.000
-3.310 7.981 0.000
-2.252 -3.759 9.705
O Na Ti
28 16 10
direct
0.247 0.140 0.936
0.753 0.860 0.064
0.787 0.707 0.484
0.957 0.801 0.772
0.820 0.550 0.005
0.981 0.654 0.303
0.625 0.603 0.191
0.563 0.909 0.243
0.213 0.293 0.516
0.729 0.990 0.530
0.271 0.010 0.470
0.147 0.742 0.591
0.106 0.898 0.175
0.019 0.346 0.697
0.596 0.354 0.643
0.404 0.646 0.357
0.918 0.952 0.356
0.679 0.171 0.117
0.894 0.102 0.825
0.180 0.450 0.995
0.437 0.091 0.757
0.082 0.048 0.644
0.405 0.240 0.311
0.321 0.829 0.883
0.595 0.760 0.689
0.853 0.258 0.409
0.043 0.199 0.228
0.375 0.397 0.809
0.112 0.477 0.383
0.448 0.676 0.014
0.552 0.324 0.986
0.375 0.012 0.110
0.435 0.872 0.565
0.565 0.128 0.435
0.625 0.988 0.890
0.710 0.418 0.296
0.290 0.582 0.704
0.500 0.500 0.500
0.692 0.623 0.831
0.817 0.334 0.824
0.000 0.000 0.000
0.183 0.666 0.176
0.888 0.523 0.617
0.308 0.377 0.169
0.854 0.724 0.151
0.215 0.927 0.790
0.785 0.073 0.210
0.146 0.276 0.849
0.812 0.888 0.674
0.188 0.112 0.326
0.377 0.225 0.655
0.623 0.775 0.345
0.034 0.823 0.469
0.966 0.177 0.531
```

## Properties
V: 327 Å³/f.u.
Formation energy: -2.865 eV per atom
Symmetry: P-1